Crystalline PrEuZrCrO6 at its relaxed geometry. Source: the Materials Project database, functional GGA+U.

abc: 8.0839 8.0839 8.0839
angles: 90.00 90.00 90.00
Closest atoms and distances in Å follow each position.
Space group F-43m (No. 216)
Asymmetric unit:
Pr 0.0000 0.0000 0.0000 x4  12 O 2.86
Eu 0.0000 0.0000 0.5000 x4  12 O 2.86
Zr 0.2500 0.2500 0.7500 x4  6 O 2.07
Cr 0.2500 0.2500 0.2500 x4  6 O 1.97
O 0.0060 0.2500 0.2500 x24  1 Cr 1.97, 1 Zr 2.07

Calculated values
**DFT formation energy**: -32.384 eV/f.u.
**E**: -8.919 eV/atom
**Corrected total energy (MP2020 scheme)**: -9.531 eV per atom